Record 1
K5Ce2H2S6O25: relaxed, PBE.

Calculated values
Total moment ... 0.97 μB/f.u.
Raw total energy ... -6.23 eV per atom

a = 17.8875 Å, b = 7.0962 Å, c = 19.5883 Å
α = 90.00°, β = 111.94°, γ = 90.00°
Space group Cc (No. 9)
Asymmetric unit:
K1 0.0000 0.0791 0.0000 [4 per cell]
K2 0.0631 0.3977 0.3495 [4 per cell]
K3 0.2169 0.3640 0.0394 [4 per cell]
K4 0.2793 0.1359 0.4600 [4 per cell]
K5 0.4341 0.0977 0.1648 [4 per cell]
Ce1 0.1484 0.0719 0.7347 [4 per cell]
Ce2 0.3506 0.4279 0.7653 [4 per cell]
H1 0.0579 0.3851 0.5143 [4 per cell]
H2 0.4657 0.1292 0.9785 [4 per cell]
S1 0.0679 0.0929 0.8550 [4 per cell]
S2 0.1346 0.4228 0.1708 [4 per cell]
S3 0.2185 0.1152 0.6071 [4 per cell]
S4 0.2789 0.3864 0.8918 [4 per cell]
S5 0.3628 0.0794 0.3280 [4 per cell]
S6 0.4290 0.4100 0.6448 [4 per cell]
O1 0.0022 0.0210 0.6512 [4 per cell]
O2 0.0149 0.3137 0.4774 [4 per cell]
O3 0.0548 0.2228 0.7909 [4 per cell]
O4 0.0932 0.1980 0.9241 [4 per cell]
O5 0.0928 0.3799 0.0923 [4 per cell]
O6 0.1073 0.3857 0.6850 [4 per cell]
O7 0.1152 0.2828 0.2186 [4 per cell]
O8 0.1326 0.0405 0.3522 [4 per cell]
O9 0.1465 0.0118 0.6110 [4 per cell]
O10 0.1942 0.2657 0.5522 [4 per cell]
O11 0.2240 0.4203 0.1905 [4 per cell]
O12 0.2246 0.4775 0.4060 [4 per cell]
O13 0.2397 0.3102 0.8138 [4 per cell]
O14 0.2566 0.1937 0.6848 [4 per cell]
O15 0.2733 0.0695 0.3083 [4 per cell]
O16 0.2741 0.0170 0.0926 [4 per cell]
O17 0.3021 0.2358 0.9467 [4 per cell]
O18 0.3525 0.4832 0.8883 [4 per cell]
O19 0.3673 0.4540 0.1525 [4 per cell]
O20 0.3782 0.2307 0.2818 [4 per cell]
O21 0.3930 0.1024 0.8089 [4 per cell]
O22 0.3981 0.3106 0.5744 [4 per cell]
O23 0.4034 0.1180 0.4064 [4 per cell]
O24 0.4444 0.2773 0.7081 [4 per cell]
O25 0.4945 0.4799 0.8453 [4 per cell]


Record 2
KCeH2S2O9: relaxed, PBE.

Calculated values
Total moment ... 1.00 μB/f.u.
Raw total energy ... -6.30 eV per atom

a = 10.2070 Å, b = 8.7697 Å, c = 10.5229 Å
α = 90.00°, β = 118.66°, γ = 90.00°
Space group P2_1/c (No. 14)
Asymmetric unit:
K1 0.2158 0.1869 0.1958 [4 per cell]
Ce1 0.2645 0.6607 0.0329 [4 per cell]
H1 0.2767 0.5155 0.4311 [4 per cell]
H2 0.3985 0.0159 0.0918 [4 per cell]
S1 0.0481 0.6299 0.1759 [4 per cell]
S2 0.4819 0.6838 0.8896 [4 per cell]
O1 0.0467 0.7408 0.0668 [4 per cell]
O2 0.0680 0.7100 0.3083 [4 per cell]
O3 0.0962 0.0471 0.3856 [4 per cell]
O4 0.1769 0.5245 0.2113 [4 per cell]
O5 0.3039 0.5386 0.5324 [4 per cell]
O6 0.3322 0.6093 0.8329 [4 per cell]
O7 0.4058 0.0767 0.6102 [4 per cell]
O8 0.4707 0.6853 0.2931 [4 per cell]
O9 0.4759 0.2395 0.4625 [4 per cell]


Record 3
CeNiSnH: relaxed, PBE.

Calculated values
Total moment ... 0.86 μB/f.u.
Raw total energy ... -5.34 eV per atom

a = 7.2272 Å, b = 4.3731 Å, c = 8.3037 Å
α = 90.00°, β = 90.00°, γ = 90.00°
Space group Pnma (No. 62)
Asymmetric unit:
Ce1 0.0105 0.2500 0.1919 [4 per cell]
Ni1 0.2163 0.7500 0.3975 [4 per cell]
Sn1 0.1687 0.2500 0.5727 [4 per cell]
H1 0.0582 0.2500 0.9193 [4 per cell]


Record 4
Ce2H16S3O20: relaxed, PBE.

Calculated values
Total moment ... 0.00 μB/f.u.
Raw total energy ... -5.54 eV per atom

a = 11.3851 Å, b = 8.1747 Å, c = 22.5456 Å
α = 90.00°, β = 99.60°, γ = 90.00°
Space group C2/c (No. 15)
Asymmetric unit:
Ce1 0.1673 0.0406 0.4114 [8 per cell]
H1 0.0070 0.3917 0.8524 [8 per cell]
H2 0.0066 0.4262 0.3747 [8 per cell]
H3 0.0576 0.3036 0.4705 [8 per cell]
H4 0.0621 0.2346 0.0666 [8 per cell]
H5 0.1607 0.4994 0.6632 [8 per cell]
H6 0.1788 0.3108 0.9978 [8 per cell]
H7 0.1967 0.3594 0.7731 [8 per cell]
H8 0.1993 0.3662 0.8065 [8 per cell]
S1 0.0000 0.2214 0.2500 [4 per cell]
S2 0.1477 0.1563 0.5685 [8 per cell]
O1 0.0213 0.2602 0.4299 [8 per cell]
O2 0.0229 0.1269 0.3051 [8 per cell]
O3 0.0231 0.4994 0.1595 [8 per cell]
O4 0.0486 0.1145 0.6003 [8 per cell]
O5 0.1322 0.3271 0.5408 [8 per cell]
O6 0.1504 0.0362 0.5183 [8 per cell]
O7 0.1868 0.2305 0.9370 [8 per cell]
O8 0.1925 0.3318 0.0440 [8 per cell]
O9 0.2354 0.3367 0.3914 [8 per cell]
O10 0.2491 0.4983 0.1589 [8 per cell]


Record 5
CeH3S3O12: relaxed, PBE.

Calculated values
Total moment ... 1.00 μB/f.u.
Raw total energy ... -6.20 eV per atom

a = 9.7365 Å, b = 5.9593 Å, c = 9.7741 Å
α = 90.00°, β = 119.64°, γ = 90.00°
Space group P2_1 (No. 4)
Asymmetric unit:
Ce1 0.1668 0.0000 0.3333 [2 per cell]
H1 0.2823 0.6014 0.9436 [2 per cell]
H2 0.3379 0.1022 0.7812 [2 per cell]
H3 0.4445 0.1017 0.1635 [2 per cell]
S1 0.0968 0.0046 0.6939 [2 per cell]
S2 0.1941 0.5046 0.0975 [2 per cell]
S3 0.4027 0.5047 0.5971 [2 per cell]
O1 0.0354 0.5057 0.9624 [2 per cell]
O2 0.0395 0.2089 0.7326 [2 per cell]
O3 0.0424 0.8006 0.7359 [2 per cell]
O4 0.0747 0.0056 0.5356 [2 per cell]
O5 0.2327 0.7088 0.1930 [2 per cell]
O6 0.2364 0.3002 0.1931 [2 per cell]
O7 0.2838 0.9945 0.8149 [2 per cell]
O8 0.3071 0.3002 0.5438 [2 per cell]
O9 0.3073 0.7090 0.5403 [2 per cell]
O10 0.3166 0.4950 0.0317 [2 per cell]
O11 0.4605 0.0059 0.4256 [2 per cell]
O12 0.4672 0.4951 0.7837 [2 per cell]


Record 6
Ce2H16S3O20: relaxed, PBE.

Calculated values
Total moment ... 2.00 μB/f.u.
Raw total energy ... -5.81 eV per atom

a = 6.9018 Å, b = 17.5302 Å, c = 9.4714 Å
α = 90.00°, β = 132.86°, γ = 90.00°
Space group Pc (No. 7)
Asymmetric unit:
Ce1 0.0000 0.1181 0.0000 [2 per cell]
Ce2 0.0410 0.3821 0.5450 [2 per cell]
H1 0.0367 0.4444 0.9721 [2 per cell]
H2 0.1397 0.2439 0.2891 [2 per cell]
H3 0.1568 0.2937 0.1602 [2 per cell]
H4 0.1748 0.2050 0.5329 [2 per cell]
H5 0.4024 0.2567 0.5890 [2 per cell]
H6 0.4478 0.1298 0.8554 [2 per cell]
H7 0.4992 0.3585 0.1556 [2 per cell]
H8 0.5955 0.1846 0.3208 [2 per cell]
H9 0.6065 0.1476 0.0742 [2 per cell]
H10 0.6106 0.0962 0.3019 [2 per cell]
H11 0.6477 0.3541 0.0814 [2 per cell]
H12 0.6558 0.4119 0.8649 [2 per cell]
H13 0.6593 0.3237 0.8426 [2 per cell]
H14 0.7833 0.0267 0.5759 [2 per cell]
H15 0.8385 0.4725 0.7546 [2 per cell]
H16 0.9845 0.0552 0.5577 [2 per cell]
S1 0.3244 0.0626 0.5164 [2 per cell]
S2 0.3667 0.4362 0.3527 [2 per cell]
S3 0.9182 0.2515 0.7158 [2 per cell]
O1 0.0736 0.1794 0.8006 [2 per cell]
O2 0.0961 0.3194 0.8101 [2 per cell]
O3 0.1095 0.2422 0.1709 [2 per cell]
O4 0.2083 0.2570 0.5114 [2 per cell]
O5 0.2168 0.0940 0.3298 [2 per cell]
O6 0.2208 0.1076 0.5876 [2 per cell]
O7 0.2400 0.0181 0.9898 [2 per cell]
O8 0.2672 0.3889 0.1832 [2 per cell]
O9 0.2685 0.4845 0.7878 [2 per cell]
O10 0.2704 0.4046 0.4404 [2 per cell]
O11 0.5231 0.1432 0.2248 [2 per cell]
O12 0.5740 0.3639 0.8579 [2 per cell]
O13 0.6187 0.0680 0.6590 [2 per cell]
O14 0.6267 0.1387 0.9814 [2 per cell]
O15 0.6621 0.4356 0.5003 [2 per cell]
O16 0.6751 0.3534 0.1988 [2 per cell]
O17 0.7369 0.2495 0.7518 [2 per cell]
O18 0.7695 0.2580 0.5069 [2 per cell]
O19 0.8372 0.0189 0.5036 [2 per cell]
O20 0.8912 0.4809 0.8797 [2 per cell]